LiAs2H3O7 (r2SCAN, relaxed); formation energy from the elements = -1383 meV per atom
1.0
4.5456 5.7113 -0.0002
-4.5456 5.7113 -0.0002
0.0000 2.4175 5.0609
O H As Li
14 6 4 2
Direct
0.8663 0.8663 0.0654 O
0.5793 0.5793 0.5835 O
0.1337 0.1337 0.9346 O
0.4207 0.4207 0.4165 O
0.1400 0.7055 0.3742 O
0.8600 0.2945 0.6258 O
0.7669 0.7669 0.7060 O
0.2945 0.8600 0.6258 O
0.2331 0.2331 0.2940 O
0.7055 0.1400 0.3742 O
0.4782 0.7900 0.1569 O
0.2100 0.5218 0.8431 O
0.7900 0.4782 0.1569 O
0.5218 0.2100 0.8431 O
0.6868 0.6868 0.6670 H
0.3132 0.3132 0.3330 H
0.9856 0.2819 0.4912 H
0.2819 0.9856 0.4912 H
0.7181 0.0144 0.5088 H
0.0144 0.7181 0.5088 H
0.2719 0.2719 0.9585 As
0.6553 0.3447 0.5000 As
0.3447 0.6553 0.5000 As
0.7281 0.7281 0.0415 As
0.8473 0.1527 0.0000 Li
0.1527 0.8473 0.0000 Li


RbAs4H3O12 (r2SCAN, relaxed); formation energy from the elements = -1335 meV per atom
1.0
5.1056 -0.0091 0.8987
0.1114 6.2698 3.1937
-0.0304 0.0044 7.8402
As O H Rb
4 12 3 1
Direct
0.5963 0.1275 0.5647 As
0.1510 0.3288 0.3098 As
0.8430 0.6820 0.6813 As
0.3997 0.8789 0.4317 As
0.1095 0.7102 0.5096 O
0.4178 0.3721 0.3919 O
0.3103 0.9636 0.6214 O
0.4955 0.1950 0.7565 O
0.2247 0.1126 0.2618 O
0.8899 0.2890 0.4911 O
0.8923 0.4612 0.8862 O
0.7731 0.8897 0.7384 O
0.4999 0.8065 0.2430 O
0.0957 0.5407 0.1083 O
0.5797 0.6283 0.6062 O
0.6904 0.0354 0.3790 O
0.5049 0.3505 0.7054 H
0.4913 0.6507 0.2955 H
0.9804 0.4965 0.9820 H
0.0018 0.9949 0.0010 Rb


Hf2Ni3As3 (r2SCAN, relaxed); formation energy from the elements = -762 meV per atom
1.0
3.7096 0.0000 0.0000
0.0000 10.3009 0.0013
0.0000 0.0016 12.6161
Ni Hf As
12 8 12
Direct
0.2500 0.3620 0.2157 Ni
0.7500 0.8621 0.2842 Ni
0.2500 0.9034 0.9850 Ni
0.2500 0.7235 0.6655 Ni
0.7500 0.2766 0.3347 Ni
0.7500 0.0965 0.0149 Ni
0.2500 0.1380 0.7158 Ni
0.2500 0.7764 0.1656 Ni
0.7500 0.4037 0.5152 Ni
0.7500 0.2235 0.8344 Ni
0.7500 0.6379 0.7842 Ni
0.2500 0.5965 0.4850 Ni
0.2500 0.1695 0.4949 Hf
0.2500 0.0712 0.2108 Hf
0.7500 0.6695 0.0051 Hf
0.7500 0.9288 0.7892 Hf
0.2500 0.3303 0.9948 Hf
0.7500 0.8306 0.5052 Hf
0.7500 0.5713 0.2890 Hf
0.2500 0.4286 0.7109 Hf
0.7500 0.6000 0.6033 As
0.2500 0.7590 0.3563 As
0.7500 0.9000 0.1032 As
0.2500 0.7410 0.8562 As
0.7500 0.0538 0.3755 As
0.2500 0.5537 0.1244 As
0.2500 0.0999 0.8967 As
0.7500 0.4462 0.8756 As
0.2500 0.9463 0.6245 As
0.7500 0.2589 0.1438 As
0.7500 0.2410 0.6437 As
0.2500 0.4001 0.3968 As


HfNi4As2 (r2SCAN, relaxed); formation energy from the elements = -505 meV per atom
1.0
0.0000 0.0000 3.7199
6.9878 -0.0002 0.0000
-0.0002 6.9879 0.0000
Ni Hf As
8 2 4
Direct
0.0000 0.6559 0.9094 Ni
0.5000 0.8440 0.4093 Ni
0.5000 0.5906 0.1558 Ni
0.5000 0.1560 0.5907 Ni
0.0000 0.9094 0.6561 Ni
0.0000 0.3441 0.0906 Ni
0.5000 0.4094 0.8442 Ni
0.0000 0.0906 0.3439 Ni
0.0000 0.5000 0.5000 Hf
0.5000 0.0000 0.0000 Hf
0.0000 0.2165 0.7835 As
0.5000 0.7164 0.7164 As
0.0000 0.7835 0.2165 As
0.5000 0.2836 0.2836 As


K4HgAs2 (r2SCAN, relaxed); formation energy from the elements = -561 meV per atom
1.0
5.5253 0.0099 8.1739
2.5108 4.9218 8.1739
0.0162 0.0099 9.8661
Hg As K
1 2 4
Direct
0.0000 0.0000 0.0000 Hg
0.9106 0.9106 0.9106 As
0.0894 0.0894 0.0894 As
0.2077 0.2077 0.2077 K
0.7923 0.7923 0.7923 K
0.3887 0.3887 0.3887 K
0.6113 0.6113 0.6113 K


KHgAs (r2SCAN, relaxed); formation energy from the elements = -447 meV per atom
1.0
2.2838 -3.9557 0.0000
2.2838 3.9557 0.0000
0.0000 0.0000 9.9723
Hg As K
2 2 2
Direct
0.3333 0.6667 0.7500 Hg
0.6667 0.3333 0.2500 Hg
0.3333 0.6667 0.2500 As
0.6667 0.3333 0.7500 As
0.0000 0.0000 0.5000 K
0.0000 0.0000 0.0000 K